# 1
MnCoB | Materials Project | PBE | optimized geometry; energy relative to the elements = -0.31 eV per atom
1.0
0.000 3.526 3.607
2.093 0.000 3.607
2.093 3.526 0.000
Mn Co B
2 2 2
Cartesian
2.093 2.385 3.607
2.093 4.668 3.607
2.093 3.526 1.202
2.093 3.526 6.012
3.140 5.289 5.411
1.047 1.763 1.804

# 2
MnCo21B6Mo | Materials Project | PBE | optimized geometry; energy relative to the elements = -0.12 eV per atom
1.0
2.490 2.666 6.389
-4.636 1.008 5.622
0.381 -4.366 5.909
Mn Co B Mo
1 21 6 1
Cartesian
-0.441 -0.173 4.480
0.127 -1.471 2.006
1.769 0.288 6.220
-2.932 -0.806 5.715
0.080 2.097 6.124
-1.563 0.339 1.909
-1.312 -2.541 5.808
-2.221 1.562 5.877
1.088 -1.983 6.066
0.837 0.897 2.167
0.250 -2.881 3.914
-3.060 0.664 3.725
1.641 1.758 4.230
-1.268 1.618 8.291
1.083 -0.899 8.425
-2.256 -1.676 8.066
-1.089 -0.427 11.059
-0.480 -2.400 9.660
-2.937 0.232 9.520
0.553 1.044 9.895
-0.666 -0.261 6.766
0.000 0.000 0.000
-1.451 1.464 10.334
-2.573 0.263 7.457
0.636 1.010 7.802
-0.314 -2.156 7.587
0.807 -0.955 10.463
-2.401 -1.702 10.118
-1.324 -0.519 13.440

# 3
Co2B4Mo | Materials Project | PBE | optimized geometry; energy relative to the elements = -0.40 eV per atom
1.0
-0.649 4.317 4.940
-1.333 6.345 1.195
-1.105 -5.811 -2.910
Co B Mo
2 4 1
Cartesian
-1.614 8.683 4.997
-0.368 1.979 1.139
-2.062 4.798 1.750
-1.026 0.053 1.475
-0.691 3.714 2.137
-1.292 6.948 3.998
-1.219 0.267 -0.857

# 4
CoB2Mo2 | Materials Project | PBE | optimized geometry; energy relative to the elements = -0.49 eV per atom
1.0
3.164 0.000 0.000
1.582 2.288 3.567
1.582 -2.288 3.567
Co B Mo
1 2 2
Cartesian
0.000 0.000 0.000
3.164 0.935 3.567
3.164 -0.935 3.567
4.746 0.000 4.993
1.582 0.000 2.141

# 5
Nb2Co21B6 | Materials Project | PBE | optimized geometry; energy relative to the elements = -0.26 eV per atom
1.0
1.434 6.341 -3.595
-4.044 1.902 -5.935
-4.779 5.672 0.424
Nb Co B
2 21 6
Cartesian
-1.847 3.479 -2.276
-5.541 10.436 -6.829
0.000 0.000 0.000
-2.164 8.292 -5.168
-4.718 6.222 -6.259
-5.061 7.980 -3.294
-2.833 5.336 -3.492
-5.224 5.623 -3.938
-2.670 7.693 -2.847
-2.327 5.935 -5.812
-4.555 8.580 -5.614
0.950 4.201 -2.382
-0.663 6.116 -2.239
-0.415 4.843 -4.384
-4.292 3.174 -3.789
-2.679 1.260 -3.932
-2.195 3.400 -5.145
-4.531 4.400 -1.722
-2.682 5.898 -0.932
-3.166 3.758 0.281
0.484 2.140 -1.213
-1.365 0.642 -2.003
-1.613 1.914 0.143
-1.382 6.680 -4.121
-3.537 9.237 -3.930
-3.205 7.537 -6.797
-6.006 7.235 -4.985
-3.852 4.678 -5.176
-4.183 6.378 -2.309

# 6
Nb3Co5B2 | Materials Project | PBE | optimized geometry; energy relative to the elements = -0.31 eV per atom
1.0
-7.777 -3.292 -0.228
3.300 -7.753 -0.618
0.012 -0.252 3.232
Nb Co B
6 10 4
Cartesian
-4.672 -3.579 -0.262
0.195 -7.465 -0.584
-0.289 -3.096 -0.241
-4.188 -7.949 -0.605
0.000 0.000 0.000
-2.239 -5.522 -0.423
-3.883 -1.772 1.502
1.656 -4.002 1.307
-1.482 -1.392 1.523
-2.984 -9.905 0.864
2.036 -6.396 1.119
-4.180 -5.836 1.186
-6.501 -4.901 1.267
-0.286 -5.461 1.200
-2.045 -7.589 1.041
-2.420 -3.708 1.345
1.122 -5.179 -0.409
-5.599 -5.866 -0.437
-1.895 -8.873 -0.686
-2.583 -2.172 -0.160

# 7
Nb3Co4B7 | Materials Project | PBE | optimized geometry; energy relative to the elements = -0.59 eV per atom
1.0
5.315 6.589 -3.948
-6.472 -3.989 5.426
6.028 -0.989 6.463
Nb Co B
6 8 14
Cartesian
3.261 3.147 0.499
1.608 -1.536 7.442
3.720 1.606 3.568
1.150 0.005 4.372
-1.200 0.390 1.852
6.070 1.220 6.088
1.425 1.499 1.959
3.445 0.112 5.981
4.980 4.689 -0.868
-0.110 -3.078 8.808
6.013 3.984 1.182
-1.144 -2.373 6.759
-4.096 -1.889 3.593
8.965 3.499 4.347
6.296 5.870 -1.914
-1.426 -4.259 9.855
7.925 4.787 1.267
-3.056 -3.177 6.674
-4.288 -2.974 5.352
9.158 4.585 2.589
5.784 2.885 2.936
-0.915 -1.274 5.005
-2.183 -1.066 3.644
7.053 2.677 4.296
8.709 5.839 0.031
-3.840 -4.228 7.909
-5.728 -3.918 5.885
10.598 5.529 2.056

# 8
Nd2Co7B3 | Materials Project | PBE | optimized geometry; energy relative to the elements = -0.30 eV per atom
1.0
2.565 -4.443 0.000
2.565 4.443 0.000
0.000 0.000 12.707
Nd Co B
4 14 6
Cartesian
0.000 0.000 3.308
0.000 0.000 6.353
0.000 0.000 0.000
0.000 0.000 9.399
2.565 0.000 1.990
2.565 0.000 4.892
1.283 2.221 10.717
1.283 -2.221 1.990
1.283 -2.221 10.717
2.565 0.000 7.815
1.283 -2.221 4.892
1.283 2.221 1.990
1.283 2.221 4.892
2.565 0.000 10.717
1.283 -2.221 7.815
1.283 2.221 7.815
2.565 -1.481 0.000
2.565 1.481 0.000
2.565 1.481 3.415
2.565 -1.481 6.353
2.565 1.481 9.292
2.565 -1.481 3.415
2.565 -1.481 9.292
2.565 1.481 6.353

# 9
Nd5Co19B6 | Materials Project | PBE | optimized geometry; energy relative to the elements = -0.25 eV per atom
1.0
2.561 -4.435 0.000
2.561 4.435 0.000
0.000 0.000 16.555
Nd Co B
5 19 6
Cartesian
0.000 0.000 11.668
0.000 0.000 1.548
0.000 0.000 4.887
0.000 0.000 8.277
0.000 0.000 15.007
2.561 0.000 9.710
2.561 0.000 6.845
2.561 1.478 11.683
1.280 -2.218 6.845
1.280 2.218 9.710
2.561 0.000 2.887
2.561 1.478 4.872
2.561 -1.478 11.683
2.561 0.000 13.668
1.280 -2.218 13.668
2.561 -1.478 4.872
1.280 2.218 6.845
1.280 -2.218 9.710
1.280 -2.218 2.887
1.280 2.218 2.887
1.280 -2.218 0.000
1.280 2.218 13.668
1.280 2.218 0.000
2.561 0.000 0.000
2.561 1.478 15.092
2.561 -1.478 15.092
2.561 -1.478 1.463
2.561 1.478 1.463
2.561 -1.478 8.277
2.561 1.478 8.277

# 10
Nd2Co14B | Materials Project | PBE | optimized geometry; energy relative to the elements = -0.12 eV per atom
1.0
-3.788 2.377 7.352
0.101 -8.172 2.694
10.623 1.750 4.908
Nd Co B
8 56 4
Cartesian
-1.017 -1.598 2.770
4.540 -4.931 6.193
2.396 0.886 8.761
-2.670 -4.197 7.276
-0.464 -6.638 3.371
2.932 -2.865 8.937
4.004 -1.180 6.017
-3.223 0.844 6.675
0.051 -4.086 1.347
5.362 -3.211 3.801
3.417 2.064 6.130
-1.894 1.189 3.676
6.549 1.079 3.026
-0.606 -2.693 5.595
7.542 -1.351 9.359
4.074 0.671 1.882
1.454 -1.410 4.407
7.330 -4.944 7.209
4.857 1.764 10.171
-0.395 0.899 7.744
2.079 -5.809 4.783
0.111 -3.520 8.065
6.824 -0.525 6.889
5.482 -2.635 10.546
1.826 -0.211 2.003
6.042 -2.703 8.029
5.274 -0.620 8.948
0.894 -1.342 6.925
1.662 -3.424 6.005
-1.133 -4.862 10.066
8.069 0.817 4.887
5.110 -3.833 12.950
1.801 -2.547 2.114
6.738 -2.860 5.802
3.999 -0.558 10.908
1.394 0.696 5.892
1.740 -5.367 7.305
-1.686 -2.621 9.688
7.360 1.999 6.777
6.397 -4.920 11.328
5.135 -1.498 12.839
0.198 -1.184 9.152
2.936 -3.487 4.046
5.542 -4.741 9.061
5.196 1.322 7.649
8.622 -1.423 5.266
-0.424 -6.044 8.177
0.539 0.876 3.625
0.560 -3.897 3.811
3.213 -2.612 11.872
6.429 -0.987 4.332
1.307 -5.229 9.663
2.922 0.739 4.040
-1.540 -1.452 7.486
7.135 1.045 9.074
7.717 -3.786 9.536
6.376 -0.148 11.143
3.722 -1.433 3.081
0.507 -3.057 10.622
5.629 1.185 5.291
4.014 -4.783 10.913
8.476 -2.593 7.468
-0.199 -5.090 5.879
-0.781 -0.259 5.417
-1.370 -4.182 4.456
2.073 -4.214 11.277
4.862 0.170 3.677
-2.317 -1.613 5.590

# 11
NdCo2B2 | Materials Project | PBE | optimized geometry; energy relative to the elements = -0.49 eV per atom
1.0
-3.518 -0.654 0.196
0.616 -2.593 2.396
1.041 4.940 2.398
Nd Co B
1 2 2
Cartesian
0.000 0.000 0.000
0.103 0.361 3.045
-1.964 1.331 1.945
-1.585 -0.546 2.497
-0.277 2.238 2.494

# 12
Nd5Co21B4 | Materials Project | PBE | optimized geometry; energy relative to the elements = -0.18 eV per atom
1.0
2.543 -4.405 0.000
2.543 4.405 0.000
0.000 0.000 17.611
Nd Co B
5 21 4
Cartesian
0.000 0.000 8.805
0.000 0.000 1.909
0.000 0.000 15.702
0.000 0.000 5.370
0.000 0.000 12.241
2.543 -1.468 8.805
2.543 1.468 8.805
2.543 -1.468 1.955
2.543 1.468 1.955
2.543 1.468 15.656
2.543 -1.468 15.656
1.272 -2.203 3.935
2.543 0.000 3.935
1.272 2.203 3.935
1.272 -2.203 13.676
2.543 0.000 13.676
1.272 2.203 13.676
1.272 -2.203 6.826
2.543 0.000 6.826
1.272 2.203 6.826
1.272 -2.203 10.785
2.543 0.000 10.785
1.272 2.203 10.785
1.272 -2.203 0.000
2.543 0.000 0.000
1.272 2.203 0.000
2.543 -1.468 5.379
2.543 1.468 5.379
2.543 1.468 12.231
2.543 -1.468 12.231

# 13
Nd3Co11B4 | Materials Project | PBE | optimized geometry; energy relative to the elements = -0.28 eV per atom
1.0
2.566 -4.444 0.000
2.566 4.444 0.000
0.000 0.000 9.734
Nd Co B
3 11 4
Cartesian
0.000 0.000 6.415
0.000 0.000 3.319
0.000 0.000 0.000
2.566 0.000 4.867
1.283 2.222 4.867
1.283 -2.222 1.988
2.566 0.000 1.988
1.283 2.222 1.988
1.283 -2.222 7.746
2.566 0.000 7.746
1.283 2.222 7.746
2.566 1.481 0.000
2.566 -1.481 0.000
1.283 -2.222 4.867
2.566 1.481 6.328
2.566 -1.481 6.328
2.566 -1.481 3.406
2.566 1.481 3.406

# 14
NdY3Co16B4 | Materials Project | PBE | optimized geometry; energy relative to the elements = -0.28 eV per atom
1.0
2.524 -4.372 0.000
2.524 4.372 0.000
0.000 0.000 13.669
Nd Y Co B
1 3 16 4
Cartesian
0.000 0.000 0.000
0.000 0.000 6.834
0.000 0.000 10.244
0.000 0.000 3.425
2.524 0.000 11.682
2.524 0.000 4.862
1.262 -2.186 11.682
1.262 -2.186 4.862
1.262 2.186 11.682
1.262 2.186 4.862
2.524 0.000 8.806
2.524 0.000 1.987
1.262 -2.186 8.806
1.262 -2.186 1.987
1.262 2.186 8.806
1.262 2.186 1.987
2.524 -1.457 0.000
2.524 -1.457 6.834
2.524 1.457 0.000
2.524 1.457 6.834
2.524 -1.457 10.251
2.524 -1.457 3.418
2.524 1.457 10.251
2.524 1.457 3.418